Computed, not measured: a relaxed structure of Y5Mg8Cu5 at the PBE level of DFT.

ΔH_f (0 K) in meV per atom: -191
Crystal system: orthorhombic
Space-group type: No. 51
Electronic total energy in eV/atom: -3.837

abc: 26.391 4.006 7.418
angles: 90.00 90.00 90.00
Fractional positions:
Y1 0.106 0.000 0.076
Y2 0.150 0.000 0.573
Y3 0.250 0.000 0.199
Y4 0.350 0.000 0.573
Y5 0.394 0.000 0.076
Y6 0.606 0.000 0.924
Y7 0.650 0.000 0.427
Y8 0.750 0.000 0.801
Y9 0.850 0.000 0.427
Y10 0.894 0.000 0.924
Mg1 0.000 0.500 0.000
Mg2 0.024 0.000 0.700
Mg3 0.061 0.500 0.403
Mg4 0.190 0.500 0.906
Mg5 0.250 0.500 0.539
Mg6 0.310 0.500 0.906
Mg7 0.439 0.500 0.403
Mg8 0.476 0.000 0.700
Mg9 0.500 0.500 0.000
Mg10 0.524 0.000 0.300
Mg11 0.561 0.500 0.597
Mg12 0.690 0.500 0.094
Mg13 0.750 0.500 0.461
Mg14 0.810 0.500 0.094
Mg15 0.939 0.500 0.597
Mg16 0.976 0.000 0.300
Cu1 0.089 0.500 0.784
Cu2 0.167 0.500 0.283
Cu3 0.250 0.000 0.782
Cu4 0.333 0.500 0.283
Cu5 0.411 0.500 0.784
Cu6 0.589 0.500 0.216
Cu7 0.667 0.500 0.717
Cu8 0.750 0.000 0.218
Cu9 0.833 0.500 0.717
Cu10 0.911 0.500 0.216